# 1
The following is a GGA-PBE calculation of P3Pb5O12F after structural relaxation, from Materials Project.

Its formation energy is -2.373 eV per atom. The value obtained for the MP2020-corrected energy is -6.949 eV per atom. The value obtained for the volume is 15.52 Å³ per atom. For the polymorph energy (0 for the lowest one), the calculation gives 0.000 eV per formula unit.

Cell: 10.0296 10.0296 7.4845 Å, 90.00 90.00 120.00°
Space group P6_3/m (No. 176)
One atom of each set of equivalent atoms:
P (0.0300, 0.4009, 0.2500) x6
Pb (0.0046, 0.7544, 0.2500) x6
Pb (0.3333, 0.6667, 0.5023) x4
O (0.0834, 0.3470, 0.0824) x12
O (0.1185, 0.5821, 0.2500) x6
O (0.1463, 0.6630, 0.7500) x6
F (0.0000, 0.0000, 0.2500) x2

=====

# 2
The following is a GGA-PBE calculation of MgAl2O2F8 after structural relaxation, from Materials Project.

Its formation energy is -2.901 eV per atom. The value obtained for the MP2020-corrected energy is -5.539 eV per atom. The value obtained for the volume is 12.72 Å³ per atom.

Cell: 7.1487 7.3389 12.6065 Å, 90.00 90.00 90.00°
Space group Fmmm (No. 69)
One atom of each set of equivalent atoms:
Mg (0.0000, 0.0000, 0.0000) x4
Al (0.2500, 0.0000, 0.2500) x8
O (0.0000, 0.1999, 0.5000) x8
F (0.0000, 0.0000, 0.2837) x8
F (0.1943, 0.0000, 0.1102) x16
F (0.2500, 0.2500, 0.2500) x8

=====

# 3
The following is a GGA-PBE calculation of Mg149Rh after structural relaxation, from Materials Project.

Its formation energy is -0.031 eV per atom. The value obtained for the volume is 22.86 Å³ per atom.

Cell: 15.9000 15.9000 15.6607 Å, 90.00 90.00 120.00°
Space group P-6m2 (No. 187)
One atom of each set of equivalent atoms:
Mg (0.0000, 0.0000, 0.0000) x1
Mg (0.0000, 0.0000, 0.3333) x2
Mg (0.9998, 0.1992, 0.3333) x12
Mg (0.9998, 0.1997, 0.0000) x6
Mg (0.0007, 0.4004, 0.0000) x6
Mg (0.0026, 0.4019, 0.3346) x12
Mg (0.1341, 0.0670, 0.1664) x6
Mg (0.1339, 0.0670, 0.5000) x3
Mg (0.1335, 0.2670, 0.1663) x6
Mg (0.1344, 0.4680, 0.1688) x12
Mg (0.1345, 0.2690, 0.5000) x3
Mg (0.1447, 0.4761, 0.5000) x6
Mg (0.1990, 0.3981, 0.3328) x6
Mg (0.2003, 0.4005, 0.0000) x3
Mg (0.1999, 0.5999, 0.0000) x3
Mg (0.2064, 0.6032, 0.3429) x6
Mg (0.3331, 0.0643, 0.5000) x6
Mg (0.3333, 0.6667, 0.1686) x2
Mg (0.3336, 0.0663, 0.1674) x12
Mg (0.3997, 0.1998, 0.0000) x3
Mg (0.3997, 0.1999, 0.3340) x6
Mg (0.5316, 0.0632, 0.5000) x3
Mg (0.5333, 0.0665, 0.1672) x6
Mg (0.5333, 0.2667, 0.1669) x6
Mg (0.5330, 0.2665, 0.5000) x3
Mg (0.5997, 0.1995, 0.0000) x3
Mg (0.5996, 0.1992, 0.3341) x6
Rh (0.3333, 0.6667, 0.5000) x1

=====

# 4
The following is a GGA-PBE calculation of SiO2 after structural relaxation, from Materials Project.

Its formation energy is -3.068 eV per atom. The value obtained for the MP2020-corrected energy is -8.175 eV per atom. The value obtained for the volume is 58.15 Å³ per atom.

Cell: 17.6748 17.8232 17.7215 Å, 90.00 90.00 90.00°
Space group Imma (No. 74)
One atom of each set of equivalent atoms:
Si (0.0000, 0.0552, 0.0364) x8
Si (0.0799, 0.1708, 0.1234) x16
Si (0.1951, 0.2500, 0.2127) x8
O (0.0000, 0.0368, 0.9445) x8
O (0.0000, 0.1678, 0.1716) x8
O (0.0763, 0.0986, 0.0664) x16
O (0.0828, 0.2500, 0.0751) x8
O (0.1528, 0.1743, 0.1801) x16
O (0.2117, 0.2500, 0.3036) x8

=====

# 5
The following is a GGA-PBE calculation of EuFe2As2 after structural relaxation, from Materials Project.

Its formation energy is -0.583 eV per atom. The value obtained for the volume is 17.00 Å³ per atom.

Cell: 3.9737 3.9737 10.7637 Å, 90.00 90.00 90.00°
Space group I4/mmm (No. 139)
One atom of each set of equivalent atoms:
Eu (0.0000, 0.0000, 0.0000) x2
Fe (0.0000, 0.5000, 0.2500) x4
As (0.0000, 0.0000, 0.3589) x4

=====

# 6
The following is a GGA-PBE calculation of Na9Sn4 after structural relaxation, from Materials Project.

Its formation energy is -0.176 eV per atom. The value obtained for the volume is 28.98 Å³ per atom. For the polymorph energy (0 for the lowest one), the calculation gives 0.048 eV per formula unit.

Cell: 5.4601 9.4289 29.2704 Å, 90.00 90.00 90.00°
Space group Cmcm (No. 63)
One atom of each set of equivalent atoms:
Na (0.0000, 0.0027, 0.1710) x8
Na (0.0000, 0.3254, 0.2500) x4
Na (0.0000, 0.3304, 0.0220) x8
Na (0.0000, 0.3316, 0.5908) x8
Na (0.0000, 0.3389, 0.1368) x8
Sn (0.0000, 0.0018, 0.5507) x8
Sn (0.0000, 0.3346, 0.7015) x8

=====

# 7
The following is a GGA-PBE calculation of Er5B2O6F9 after structural relaxation, from Materials Project.

Its formation energy is -4.037 eV per atom. The value obtained for the MP2020-corrected energy is -7.815 eV per atom. The value obtained for the volume is 11.52 Å³ per atom.

Cell: 20.4734 6.0846 8.2682 Å, 90.00 100.11 90.00°
Space group C2/c (No. 15)
One atom of each set of equivalent atoms:
Er (0.0000, 0.1119, 0.2500) x4
Er (0.1096, 0.3895, 0.9063) x8
Er (0.1939, 0.1203, 0.3198) x8
B (0.1113, 0.0955, 0.5630) x8
O (0.0913, 0.2391, 0.4349) x8
O (0.0927, 0.1033, 0.7163) x8
O (0.1589, 0.0613, 0.0393) x8
F (0.0000, 0.4857, 0.2500) x4
F (0.0313, 0.1845, 0.9868) x8
F (0.1316, 0.4254, 0.1856) x8
F (0.2107, 0.4248, 0.4803) x8
F (0.2251, 0.2206, 0.7853) x8

=====

# 8
The following is a GGA-PBE calculation of Cs2Se after structural relaxation, from Materials Project.

Its formation energy is -1.143 eV per atom. The value obtained for the MP2020-corrected energy is -2.905 eV per atom. The value obtained for the volume is 53.01 Å³ per atom. For the polymorph energy (0 for the lowest one), the calculation gives 0.189 eV per formula unit.

Cell: 5.7412 5.7412 33.4281 Å, 90.00 90.00 120.00°
Space group R-3m (No. 166, hexagonal axes)
One atom of each set of equivalent atoms:
Cs (0.0000, 0.0000, 0.1218) x6
Cs (0.0000, 0.0000, 0.2958) x6
Se (0.0000, 0.0000, 0.4127) x6